First-principles (PBE+U) data for crystalline Li4V5O10 at its relaxed geometry, as listed in Materials Project.

Cell: 5.153 5.244 7.840 Å, 71.13 71.89 80.47°
Sites, in units of the cell vectors:
Li 0.000 0.000 0.000
Li 0.002 0.832 0.376
Li 0.008 0.379 0.203
Li 0.488 0.106 0.288
V 0.011 0.614 0.773
V 0.501 0.707 0.094
V 0.502 0.930 0.667
V 0.515 0.303 0.885
V 0.530 0.510 0.467
O 0.269 0.823 0.539
O 0.271 0.663 0.917
O 0.285 0.489 0.299
O 0.290 0.055 0.114
O 0.290 0.285 0.723
O 0.718 0.162 0.435
O 0.725 0.931 0.847
O 0.743 0.578 0.640
O 0.744 0.748 0.231
O 0.759 0.390 0.012

Calculated values
Spin magnetization in μB per formula unit: 9.000
Formation energy from the elements in eV per atom: -2.46
Raw total energy in eV for the cell shown: -133.9

First-principles (PBE+U) data for crystalline Sr9FeP7O28 at its relaxed geometry, as listed in Materials Project.

Cell: 9.093 9.093 18.188 Å, 108.14 108.14 72.43°
Sites, in units of the cell vectors:
Sr 0.003 0.997 0.500
Sr 0.004 0.444 0.722
Sr 0.010 0.444 0.227
Sr 0.123 0.552 0.447
Sr 0.123 0.559 0.952
Sr 0.243 0.786 0.336
Sr 0.317 0.778 0.837
Sr 0.444 0.004 0.222
Sr 0.444 0.010 0.727
Sr 0.552 0.123 0.947
Sr 0.559 0.123 0.452
Sr 0.563 0.568 0.675
Sr 0.568 0.563 0.175
Sr 0.774 0.777 0.571
Sr 0.777 0.774 0.071
Sr 0.778 0.317 0.337
Sr 0.786 0.243 0.836
Sr 0.997 0.003 0.000
Fe 0.282 0.283 0.588
Fe 0.283 0.282 0.088
P 0.167 0.176 0.883
P 0.167 0.689 0.640
P 0.176 0.167 0.383
P 0.177 0.689 0.145
P 0.387 0.875 0.030
P 0.388 0.397 0.792
P 0.395 0.875 0.535
P 0.397 0.388 0.292
P 0.689 0.167 0.140
P 0.689 0.177 0.645
P 0.756 0.807 0.838
P 0.807 0.756 0.338
P 0.875 0.387 0.530
P 0.875 0.395 0.035
O 0.043 0.300 0.575
O 0.044 0.305 0.078
O 0.055 0.309 0.842
O 0.056 0.770 0.572
O 0.069 0.074 0.892
O 0.069 0.295 0.338
O 0.070 0.670 0.690
O 0.070 0.779 0.080
O 0.074 0.069 0.392
O 0.075 0.668 0.193
O 0.254 0.792 0.972
O 0.255 0.508 0.833
O 0.259 0.520 0.597
O 0.260 0.261 0.968
O 0.261 0.260 0.468
O 0.264 0.520 0.099
O 0.267 0.783 0.481
O 0.269 0.495 0.337
O 0.295 0.069 0.838
O 0.296 0.781 0.693
O 0.300 0.043 0.075
O 0.303 0.304 0.707
O 0.304 0.303 0.207
O 0.305 0.044 0.578
O 0.309 0.055 0.342
O 0.309 0.772 0.202
O 0.490 0.495 0.783
O 0.490 0.894 0.982
O 0.494 0.783 0.093
O 0.494 0.893 0.484
O 0.495 0.269 0.837
O 0.495 0.490 0.283
O 0.508 0.255 0.333
O 0.509 0.793 0.601
O 0.520 0.259 0.097
O 0.520 0.264 0.599
O 0.577 0.808 0.823
O 0.668 0.075 0.693
O 0.670 0.070 0.190
O 0.694 0.809 0.263
O 0.757 0.865 0.416
O 0.757 0.985 0.852
O 0.770 0.056 0.072
O 0.772 0.309 0.702
O 0.779 0.070 0.580
O 0.781 0.296 0.193
O 0.783 0.267 0.981
O 0.783 0.494 0.593
O 0.792 0.254 0.472
O 0.793 0.509 0.101
O 0.808 0.577 0.323
O 0.809 0.694 0.763
O 0.865 0.757 0.916
O 0.893 0.494 0.984
O 0.894 0.490 0.482
O 0.985 0.757 0.352

Calculated values
Spin magnetization in μB per formula unit: 1.004
Formation energy from the elements in eV per atom: -3.18
Raw total energy in eV for the cell shown: -643.2

First-principles (PBE+U) data for crystalline Mg4Mn9O13 at its relaxed geometry, as listed in Materials Project.

Cell: 33.477 33.477 33.477 Å, 5.37 5.37 5.37°
Sites, in units of the cell vectors:
Mg 0.000 0.000 0.000
Mg 0.076 0.076 0.076
Mg 0.384 0.384 0.384
Mg 0.923 0.923 0.923
Mn 0.153 0.153 0.153
Mn 0.231 0.231 0.231
Mn 0.308 0.308 0.308
Mn 0.460 0.460 0.460
Mn 0.538 0.538 0.538
Mn 0.615 0.615 0.615
Mn 0.692 0.692 0.692
Mn 0.767 0.767 0.767
Mn 0.846 0.846 0.846
O 0.039 0.039 0.039
O 0.114 0.114 0.114
O 0.192 0.192 0.192
O 0.268 0.268 0.268
O 0.345 0.345 0.345
O 0.421 0.421 0.421
O 0.500 0.500 0.500
O 0.578 0.578 0.578
O 0.655 0.655 0.655
O 0.730 0.730 0.730
O 0.807 0.807 0.807
O 0.885 0.885 0.885
O 0.961 0.961 0.961

Calculated values
Spin magnetization in μB per formula unit: 45.000
Formation energy from the elements in eV per atom: -2.27
Raw total energy in eV for the cell shown: -188.3

First-principles (PBE+U) data for crystalline Li9Co3P8O29 at its relaxed geometry, as listed in Materials Project.

Cell: 9.812 9.812 13.741 Å, 90.63 90.63 60.06°
Sites, in units of the cell vectors:
Li 0.000 0.000 0.000
Li 0.000 0.000 0.500
Li 0.095 0.671 0.065
Li 0.101 0.237 0.564
Li 0.234 0.664 0.564
Li 0.237 0.101 0.064
Li 0.329 0.905 0.435
Li 0.335 0.336 0.380
Li 0.336 0.335 0.880
Li 0.336 0.766 0.936
Li 0.664 0.234 0.064
Li 0.664 0.665 0.120
Li 0.665 0.664 0.620
Li 0.671 0.095 0.565
Li 0.763 0.899 0.936
Li 0.766 0.336 0.436
Li 0.899 0.763 0.436
Li 0.905 0.329 0.935
Co 0.002 0.431 0.752
Co 0.431 0.002 0.252
Co 0.437 0.563 0.750
Co 0.563 0.437 0.250
Co 0.569 0.998 0.748
Co 0.998 0.569 0.248
P 0.090 0.233 0.343
P 0.090 0.683 0.846
P 0.223 0.686 0.343
P 0.233 0.090 0.843
P 0.314 0.777 0.157
P 0.317 0.910 0.654
P 0.333 0.335 0.126
P 0.335 0.333 0.626
P 0.665 0.667 0.374
P 0.667 0.665 0.874
P 0.683 0.090 0.346
P 0.686 0.223 0.843
P 0.767 0.910 0.157
P 0.777 0.314 0.657
P 0.910 0.317 0.154
P 0.910 0.767 0.657
O 0.001 0.216 0.249
O 0.003 0.763 0.568
O 0.004 0.224 0.066
O 0.073 0.673 0.341
O 0.083 0.252 0.846
O 0.108 0.518 0.835
O 0.109 0.378 0.332
O 0.188 0.493 0.161
O 0.193 0.322 0.665
O 0.211 0.789 0.250
O 0.216 0.001 0.749
O 0.219 0.780 0.433
O 0.220 0.781 0.067
O 0.224 0.004 0.566
O 0.237 0.997 0.932
O 0.252 0.083 0.346
O 0.252 0.670 0.847
O 0.322 0.193 0.165
O 0.327 0.927 0.159
O 0.328 0.341 0.516
O 0.329 0.487 0.667
O 0.330 0.748 0.653
O 0.341 0.328 0.016
O 0.370 0.522 0.335
O 0.378 0.109 0.832
O 0.478 0.630 0.165
O 0.482 0.892 0.665
O 0.487 0.329 0.167
O 0.493 0.188 0.661
O 0.507 0.812 0.339
O 0.513 0.671 0.833
O 0.518 0.108 0.335
O 0.522 0.370 0.835
O 0.622 0.891 0.168
O 0.630 0.478 0.665
O 0.659 0.672 0.984
O 0.670 0.252 0.347
O 0.671 0.513 0.333
O 0.672 0.659 0.484
O 0.673 0.073 0.841
O 0.678 0.807 0.835
O 0.748 0.330 0.153
O 0.748 0.917 0.654
O 0.763 0.003 0.068
O 0.776 0.996 0.434
O 0.780 0.219 0.933
O 0.781 0.220 0.567
O 0.784 0.999 0.251
O 0.789 0.211 0.750
O 0.807 0.678 0.335
O 0.812 0.507 0.839
O 0.891 0.622 0.668
O 0.892 0.482 0.165
O 0.917 0.748 0.154
O 0.927 0.327 0.659
O 0.996 0.776 0.934
O 0.997 0.237 0.432
O 0.999 0.784 0.751

Calculated values
Spin magnetization in μB per formula unit: 0.000
Formation energy from the elements in eV per atom: -2.47
Raw total energy in eV for the cell shown: -643.3

First-principles (PBE+U) data for crystalline NdFeO3 at its relaxed geometry, as listed in Materials Project.

Cell: 5.697 7.864 5.500 Å, 90.00 90.00 90.00°
Sites, in units of the cell vectors:
Nd 0.057 0.250 0.014
Nd 0.443 0.750 0.514
Nd 0.557 0.250 0.486
Nd 0.943 0.750 0.986
Fe 0.000 0.000 0.500
Fe 0.000 0.500 0.500
Fe 0.500 0.000 0.000
Fe 0.500 0.500 0.000
O 0.029 0.750 0.405
O 0.203 0.550 0.797
O 0.203 0.950 0.797
O 0.297 0.050 0.297
O 0.297 0.450 0.297
O 0.471 0.250 0.905
O 0.529 0.750 0.095
O 0.703 0.550 0.703
O 0.703 0.950 0.703
O 0.797 0.050 0.203
O 0.797 0.450 0.203
O 0.971 0.250 0.595

Calculated values
Formation energy from the elements in eV per atom: -2.78
Raw total energy in eV for the cell shown: -150.6

First-principles (PBE+U) data for crystalline Na3PrV2O8 at its relaxed geometry, as listed in Materials Project.

Cell: 14.316 5.698 19.754 Å, 90.00 90.00 90.00°
Sites, in units of the cell vectors:
Na 0.032 0.043 0.105
Na 0.048 0.482 0.346
Na 0.117 0.994 0.441
Na 0.136 0.488 0.167
Na 0.202 0.969 0.261
Na 0.217 0.523 0.500
Na 0.283 0.523 0.000
Na 0.298 0.969 0.761
Na 0.364 0.488 0.667
Na 0.383 0.994 0.941
Na 0.452 0.482 0.846
Na 0.468 0.043 0.605
Na 0.532 0.957 0.105
Na 0.548 0.518 0.346
Na 0.617 0.006 0.441
Na 0.636 0.512 0.167
Na 0.702 0.031 0.261
Na 0.717 0.477 0.500
Na 0.783 0.477 0.000
Na 0.798 0.031 0.761
Na 0.864 0.512 0.667
Na 0.883 0.006 0.941
Na 0.952 0.518 0.846
Na 0.968 0.957 0.605
Pr 0.111 0.426 0.690
Pr 0.137 0.063 0.920
Pr 0.363 0.063 0.420
Pr 0.389 0.426 0.190
Pr 0.611 0.574 0.690
Pr 0.637 0.937 0.920
Pr 0.863 0.937 0.420
Pr 0.889 0.574 0.190
V 0.022 0.974 0.770
V 0.025 0.536 0.012
V 0.226 0.956 0.597
V 0.227 0.515 0.841
V 0.273 0.515 0.341
V 0.274 0.956 0.097
V 0.475 0.536 0.512
V 0.478 0.974 0.270
V 0.522 0.026 0.770
V 0.525 0.464 0.012
V 0.726 0.044 0.597
V 0.727 0.485 0.841
V 0.773 0.485 0.341
V 0.774 0.044 0.097
V 0.975 0.464 0.512
V 0.978 0.026 0.270
O 0.001 0.483 0.098
O 0.005 0.296 0.232
O 0.009 0.032 0.355
O 0.034 0.799 0.227
O 0.036 0.840 0.995
O 0.060 0.591 0.463
O 0.110 0.445 0.845
O 0.121 0.105 0.613
O 0.130 0.391 0.995
O 0.140 0.038 0.766
O 0.188 0.085 0.145
O 0.214 0.655 0.618
O 0.216 0.296 0.386
O 0.242 0.513 0.255
O 0.247 0.789 0.376
O 0.250 0.971 0.011
O 0.250 0.971 0.511
O 0.253 0.789 0.876
O 0.258 0.513 0.755
O 0.284 0.296 0.886
O 0.286 0.655 0.118
O 0.312 0.085 0.645
O 0.360 0.038 0.266
O 0.370 0.391 0.495
O 0.379 0.105 0.113
O 0.390 0.445 0.345
O 0.440 0.591 0.963
O 0.464 0.840 0.495
O 0.466 0.799 0.727
O 0.491 0.032 0.855
O 0.495 0.296 0.732
O 0.499 0.483 0.598
O 0.501 0.517 0.098
O 0.505 0.704 0.232
O 0.509 0.968 0.355
O 0.534 0.201 0.227
O 0.536 0.160 0.995
O 0.560 0.409 0.463
O 0.610 0.555 0.845
O 0.621 0.895 0.613
O 0.630 0.609 0.995
O 0.640 0.962 0.766
O 0.688 0.915 0.145
O 0.714 0.345 0.618
O 0.716 0.704 0.386
O 0.742 0.487 0.255
O 0.747 0.211 0.376
O 0.750 0.029 0.011
O 0.750 0.029 0.511
O 0.753 0.211 0.876
O 0.758 0.487 0.755
O 0.784 0.704 0.886
O 0.786 0.345 0.118
O 0.812 0.915 0.645
O 0.860 0.962 0.266
O 0.870 0.609 0.495
O 0.879 0.895 0.113
O 0.890 0.555 0.345
O 0.940 0.409 0.963
O 0.964 0.160 0.495
O 0.966 0.201 0.727
O 0.991 0.968 0.855
O 0.995 0.704 0.732
O 0.999 0.517 0.598

Calculated values
Spin magnetization in μB per formula unit: 0.000
Formation energy from the elements in eV per atom: -2.66
Raw total energy in eV for the cell shown: -758.4

First-principles (PBE+U) data for crystalline Cs2WO4 at its relaxed geometry, as listed in Materials Project.

Cell: 8.736 6.783 11.955 Å, 90.00 90.00 90.00°
Sites, in units of the cell vectors:
Cs 0.010 0.250 0.209
Cs 0.171 0.750 0.420
Cs 0.329 0.250 0.920
Cs 0.490 0.750 0.709
Cs 0.510 0.250 0.291
Cs 0.671 0.750 0.080
Cs 0.829 0.250 0.580
Cs 0.990 0.750 0.791
W 0.226 0.750 0.081
W 0.274 0.250 0.581
W 0.726 0.750 0.419
W 0.774 0.250 0.919
O 0.019 0.750 0.082
O 0.201 0.030 0.650
O 0.201 0.470 0.650
O 0.206 0.250 0.436
O 0.294 0.750 0.936
O 0.299 0.530 0.150
O 0.299 0.970 0.150
O 0.481 0.250 0.582
O 0.519 0.750 0.418
O 0.701 0.030 0.850
O 0.701 0.470 0.850
O 0.706 0.250 0.064
O 0.794 0.750 0.564
O 0.799 0.530 0.350
O 0.799 0.970 0.350
O 0.981 0.250 0.918

Calculated values
Formation energy from the elements in eV per atom: -2.26
Raw total energy in eV for the cell shown: -172.6